Entry 1:
LuNiO3: relaxed, PBE with a Hubbard U.

The structure in POSCAR format:
```
LuNiO3
1.0
-3.788 3.996 0.444
-3.738 -3.504 -0.349
-3.676 -4.261 6.996
O Ni Lu
12 4 4
Direct
0.540 0.871 0.245 O
0.686 0.639 0.055 O
0.199 0.757 0.060 O
0.186 0.361 0.445 O
0.314 0.361 0.945 O
0.801 0.243 0.940 O
0.960 0.871 0.745 O
0.301 0.757 0.560 O
0.699 0.243 0.440 O
0.814 0.639 0.555 O
0.460 0.129 0.755 O
0.040 0.129 0.255 O
0.500 0.000 0.000 Ni
0.500 0.500 0.500 Ni
0.000 0.000 0.500 Ni
0.000 0.500 0.000 Ni
0.921 0.727 0.251 Lu
0.579 0.727 0.751 Lu
0.421 0.273 0.249 Lu
0.079 0.273 0.749 Lu
```

## Properties
crystal system = monoclinic
space-group type = No. 14
total moment = 1.01 μB/f.u.
energy of formation from the pure elements = -2.534 eV/atom

---

Entry 2:
RbLuW2O8: relaxed, PBE with a Hubbard U.

The structure in POSCAR format:
```
RbLuW2O8
1.0
3.025 -5.239 0.000
3.025 5.239 0.000
0.000 0.000 8.016
O W Rb Lu
8 2 1 1
Direct
0.168 0.335 0.337 O
0.168 0.832 0.337 O
0.832 0.168 0.663 O
0.665 0.832 0.337 O
0.667 0.333 0.955 O
0.333 0.667 0.045 O
0.832 0.665 0.663 O
0.335 0.168 0.663 O
0.333 0.667 0.266 W
0.667 0.333 0.734 W
0.000 0.000 0.000 Rb
0.000 0.000 0.500 Lu
```

## Properties
crystal system = trigonal
space-group type = No. 164
total moment = 0.00 μB/f.u.
energy of formation from the pure elements = -2.648 eV/atom

---

Entry 3:
RbLuW2O8: relaxed, PBE with a Hubbard U.

The structure in POSCAR format:
```
RbLuW2O8
1.0
-0.712 2.097 7.696
-8.226 2.353 -2.908
-3.496 -9.441 2.249
Rb O W Lu
4 32 8 4
Direct
0.573 0.512 0.287 Rb
0.427 0.488 0.713 Rb
0.927 0.488 0.787 Rb
0.073 0.512 0.213 Rb
0.837 0.733 0.131 O
0.193 0.847 0.138 O
0.612 0.132 0.384 O
0.337 0.733 0.369 O
0.503 0.224 0.895 O
0.768 0.330 0.088 O
0.112 0.132 0.116 O
0.232 0.670 0.912 O
0.732 0.670 0.588 O
0.150 0.605 0.587 O
0.742 0.992 0.611 O
0.693 0.847 0.362 O
0.997 0.776 0.395 O
0.497 0.776 0.105 O
0.388 0.868 0.616 O
0.242 0.992 0.889 O
0.163 0.267 0.869 O
0.048 0.911 0.603 O
0.663 0.267 0.631 O
0.807 0.153 0.862 O
0.650 0.605 0.913 O
0.350 0.395 0.087 O
0.850 0.395 0.413 O
0.952 0.089 0.397 O
0.258 0.008 0.389 O
0.548 0.911 0.897 O
0.268 0.330 0.412 O
0.307 0.153 0.638 O
0.888 0.868 0.884 O
0.452 0.089 0.103 O
0.003 0.224 0.605 O
0.758 0.008 0.111 O
0.179 0.162 0.489 W
0.786 0.219 0.490 W
0.321 0.838 0.989 W
0.821 0.838 0.511 W
0.286 0.219 0.010 W
0.714 0.781 0.990 W
0.679 0.162 0.011 W
0.214 0.781 0.510 W
0.522 0.060 0.723 Lu
0.478 0.940 0.277 Lu
0.978 0.940 0.223 Lu
0.022 0.060 0.777 Lu
```

## Properties
crystal system = monoclinic
space-group type = No. 14
total moment = 0.00 μB/f.u.
energy of formation from the pure elements = -2.661 eV/atom

---

Entry 4:
RbLuW2O8: relaxed, PBE with a Hubbard U.

The structure in POSCAR format:
```
RbLuW2O8
1.0
5.244 5.449 0.000
-5.244 5.449 0.000
0.000 4.819 5.698
Lu O W Rb
2 16 4 2
Direct
0.223 0.777 0.250 Lu
0.777 0.223 0.750 Lu
0.222 0.040 0.305 O
0.379 0.244 0.441 O
0.364 0.053 0.884 O
0.947 0.636 0.616 O
0.053 0.364 0.384 O
0.595 0.371 0.961 O
0.244 0.379 0.941 O
0.778 0.960 0.695 O
0.405 0.629 0.039 O
0.636 0.947 0.116 O
0.629 0.405 0.539 O
0.756 0.621 0.059 O
0.960 0.778 0.195 O
0.371 0.595 0.461 O
0.621 0.756 0.559 O
0.040 0.222 0.805 O
0.299 0.309 0.216 W
0.309 0.299 0.716 W
0.691 0.701 0.284 W
0.701 0.691 0.784 W
0.800 0.200 0.250 Rb
0.200 0.800 0.750 Rb
```

## Properties
crystal system = monoclinic
space-group type = No. 15
energy of formation from the pure elements = -2.677 eV/atom

---

Entry 5:
Lu2ScV3O9: relaxed, PBE with a Hubbard U.

The structure in POSCAR format:
```
Lu2ScV3O9
1.0
-21.420 7.602 -1.380
-1.599 -4.758 -1.386
-0.810 -1.302 5.400
Lu O V Sc
8 36 12 4
Direct
0.500 0.523 0.571 Lu
0.500 0.976 0.073 Lu
0.833 0.524 0.571 Lu
0.333 0.022 0.929 Lu
0.834 0.976 0.071 Lu
0.166 0.976 0.071 Lu
0.667 0.022 0.929 Lu
0.167 0.524 0.571 Lu
0.726 0.315 0.679 O
0.105 0.810 0.813 O
0.166 0.370 0.944 O
0.500 0.130 0.447 O
0.059 0.315 0.678 O
0.605 0.190 0.186 O
0.000 0.856 0.566 O
0.771 0.812 0.814 O
0.229 0.812 0.814 O
0.272 0.189 0.185 O
0.834 0.130 0.445 O
0.438 0.811 0.815 O
0.607 0.315 0.679 O
0.941 0.185 0.178 O
0.166 0.130 0.445 O
0.000 0.644 0.065 O
0.059 0.185 0.178 O
0.667 0.630 0.067 O
0.333 0.856 0.554 O
0.333 0.630 0.067 O
0.105 0.690 0.313 O
0.395 0.190 0.186 O
0.500 0.369 0.944 O
0.228 0.691 0.313 O
0.439 0.691 0.313 O
0.895 0.810 0.813 O
0.895 0.690 0.313 O
0.834 0.370 0.944 O
0.667 0.856 0.554 O
0.561 0.691 0.313 O
0.772 0.691 0.313 O
0.941 0.315 0.678 O
0.562 0.811 0.815 O
0.274 0.315 0.679 O
0.728 0.189 0.185 O
0.393 0.315 0.679 O
0.416 0.000 0.499 V
0.749 0.000 0.498 V
0.918 0.501 0.999 V
0.082 0.999 0.500 V
0.749 0.501 0.002 V
0.918 0.999 0.500 V
0.251 0.501 0.002 V
0.584 0.000 0.499 V
0.082 0.501 0.999 V
0.416 0.500 0.002 V
0.251 0.000 0.498 V
0.584 0.500 0.002 V
0.667 0.480 0.433 Sc
0.000 0.481 0.437 Sc
0.000 0.018 0.936 Sc
0.333 0.480 0.433 Sc
```

## Properties
crystal system = monoclinic
space-group type = No. 6
total moment = 6.00 μB/f.u.
energy of formation from the pure elements = -3.279 eV/atom

---

Entry 6:
LuTlW2O8: relaxed, PBE with a Hubbard U.

The structure in POSCAR format:
```
LuTlW2O8
1.0
1.833 -4.189 -5.986
6.181 -2.624 3.412
0.548 -7.371 0.974
O Lu Tl W
16 2 2 4
Direct
0.040 0.215 0.809 O
0.382 0.239 0.443 O
0.239 0.382 0.943 O
0.215 0.040 0.309 O
0.618 0.761 0.557 O
0.631 0.409 0.537 O
0.369 0.591 0.463 O
0.058 0.373 0.384 O
0.785 0.960 0.691 O
0.627 0.942 0.116 O
0.591 0.369 0.963 O
0.409 0.631 0.037 O
0.942 0.627 0.616 O
0.373 0.058 0.884 O
0.960 0.785 0.191 O
0.761 0.618 0.057 O
0.776 0.224 0.750 Lu
0.224 0.776 0.250 Lu
0.797 0.203 0.250 Tl
0.203 0.797 0.750 Tl
0.692 0.702 0.279 W
0.702 0.692 0.779 W
0.298 0.308 0.221 W
0.308 0.298 0.721 W
```

## Properties
crystal system = monoclinic
space-group type = No. 15
total moment = 0.00 μB/f.u.
energy of formation from the pure elements = -2.510 eV/atom

---

Entry 7:
LuVO2: relaxed, PBE with a Hubbard U.

The structure in POSCAR format:
```
LuVO2
1.0
6.225 -3.461 -0.233
4.973 5.020 0.926
-5.779 -1.391 3.931
O Lu V
8 4 4
Direct
0.682 0.424 0.258 O
0.174 0.932 0.758 O
0.166 0.424 0.742 O
0.174 0.416 0.242 O
0.068 0.826 0.242 O
0.584 0.826 0.758 O
0.576 0.318 0.742 O
0.576 0.834 0.258 O
0.875 0.625 0.250 Lu
0.375 0.625 0.750 Lu
0.375 0.125 0.750 Lu
0.375 0.625 0.250 Lu
0.875 0.625 0.750 V
0.875 0.125 0.750 V
0.875 0.125 0.250 V
0.375 0.125 0.250 V
```

## Properties
crystal system = tetragonal
space-group type = No. 141
total moment = 1.07 μB/f.u.
energy of formation from the pure elements = -2.412 eV/atom

---

Entry 8:
Lu6WO12: relaxed, PBE with a Hubbard U.

The structure in POSCAR format:
```
Lu6WO12
1.0
-4.871 2.801 2.935
3.233 -1.912 5.107
3.385 5.174 -1.403
O Lu W
12 6 1
Direct
0.302 0.079 0.965 O
0.965 0.302 0.079 O
0.035 0.698 0.921 O
0.079 0.965 0.302 O
0.590 0.177 0.429 O
0.823 0.571 0.410 O
0.410 0.823 0.571 O
0.429 0.590 0.177 O
0.698 0.921 0.035 O
0.921 0.035 0.698 O
0.571 0.410 0.823 O
0.177 0.429 0.590 O
0.856 0.389 0.680 Lu
0.320 0.144 0.611 Lu
0.680 0.856 0.389 Lu
0.611 0.320 0.144 Lu
0.144 0.611 0.320 Lu
0.389 0.680 0.856 Lu
0.000 0.000 0.000 W
```

## Properties
crystal system = trigonal
space-group type = No. 148
energy of formation from the pure elements = -3.776 eV/atom

---

Entry 9:
LuWO4: relaxed, PBE with a Hubbard U.

The structure in POSCAR format:
```
LuWO4
1.0
1.309 1.792 6.151
4.504 4.734 0.253
-5.553 -0.737 -3.375
O Lu W
8 2 2
Direct
0.856 0.906 0.440 O
0.656 0.716 0.551 O
0.585 0.144 0.051 O
0.094 0.534 0.949 O
0.466 0.415 0.560 O
0.165 0.106 0.449 O
0.894 0.344 0.060 O
0.284 0.835 0.940 O
0.250 0.750 0.500 Lu
0.500 0.500 0.000 Lu
0.000 0.000 0.000 W
0.750 0.250 0.500 W
```

## Properties
crystal system = tetragonal
space-group type = No. 88
total moment = 1.00 μB/f.u.
energy of formation from the pure elements = -2.947 eV/atom

---

Entry 10:
LuWO5: relaxed, PBE with a Hubbard U.

The structure in POSCAR format:
```
LuWO5
1.0
-2.118 -4.506 1.614
-1.010 0.708 -6.352
10.729 -5.890 -2.362
O Lu W
20 4 4
Direct
0.452 0.944 0.586 O
0.002 0.208 0.722 O
0.048 0.556 0.086 O
0.343 0.585 0.349 O
0.548 0.056 0.414 O
0.861 0.846 0.571 O
0.139 0.154 0.429 O
0.998 0.792 0.278 O
0.498 0.292 0.222 O
0.157 0.915 0.849 O
0.843 0.085 0.151 O
0.727 0.027 0.938 O
0.361 0.346 0.929 O
0.657 0.415 0.651 O
0.273 0.973 0.062 O
0.502 0.708 0.778 O
0.639 0.654 0.071 O
0.227 0.527 0.562 O
0.952 0.444 0.914 O
0.773 0.473 0.438 O
0.853 0.214 0.555 Lu
0.647 0.286 0.055 Lu
0.147 0.786 0.445 Lu
0.353 0.714 0.945 Lu
0.049 0.151 0.861 W
0.451 0.349 0.361 W
0.549 0.651 0.639 W
0.951 0.849 0.139 W
```

## Properties
crystal system = monoclinic
space-group type = No. 14
total moment = 1.00 μB/f.u.
energy of formation from the pure elements = -2.629 eV/atom